# 1
{
  "formula": "Bi2I4O13",
  "functional": "PBE",
  "state": "optimized geometry",
  "lattice": [[-1.776, -2.137, -5.144], [-4.104, -10.342, 5.713], [-15.252, 7.288, 2.237]],
  "species": ["O", "O", "O", "O", "O", "O", "O", "O", "O", "O", "O", "O", "O", "O", "O", "O", "O", "O", "O", "O", "O", "O", "O", "O", "O", "O", "O", "O", "O", "O", "O", "O", "O", "O", "O", "O", "O", "O", "O", "O", "O", "O", "O", "O", "O", "O", "O", "O", "O", "O", "O", "O", "Bi", "Bi", "Bi", "Bi", "Bi", "Bi", "Bi", "Bi", "I", "I", "I", "I", "I", "I", "I", "I", "I", "I", "I", "I", "I", "I", "I", "I"],
  "frac_coords": [[0.589, 0.441, 0.052], [0.403, 0.290, 0.609], [0.411, 0.941, 0.448], [0.308, 0.718, 0.441], [0.087, 0.669, 0.298], [0.394, 0.157, 0.185], [0.089, 0.059, 0.948], [0.563, 0.666, 0.057], [0.919, 0.965, 0.819], [0.937, 0.334, 0.557], [0.869, 0.833, 0.263], [0.081, 0.465, 0.681], [0.412, 0.846, 0.185], [0.631, 0.167, 0.763], [0.088, 0.154, 0.685], [0.419, 0.535, 0.181], [0.808, 0.782, 0.559], [0.540, 0.007, 0.058], [0.473, 0.068, 0.603], [0.587, 0.831, 0.702], [0.959, 0.869, 0.425], [0.041, 0.369, 0.075], [0.904, 0.517, 0.225], [0.973, 0.432, 0.397], [0.960, 0.993, 0.558], [0.437, 0.166, 0.443], [0.581, 0.035, 0.319], [0.040, 0.493, 0.942], [0.912, 0.654, 0.815], [0.404, 0.983, 0.775], [0.460, 0.507, 0.442], [0.527, 0.568, 0.897], [0.369, 0.667, 0.737], [0.097, 0.710, 0.109], [0.597, 0.790, 0.891], [0.913, 0.169, 0.202], [0.096, 0.017, 0.275], [0.596, 0.483, 0.725], [0.606, 0.657, 0.315], [0.413, 0.331, 0.798], [0.131, 0.333, 0.237], [0.459, 0.631, 0.575], [0.027, 0.932, 0.103], [0.692, 0.218, 0.059], [0.063, 0.834, 0.943], [0.894, 0.343, 0.815], [0.911, 0.559, 0.552], [0.192, 0.282, 0.941], [0.903, 0.210, 0.391], [0.106, 0.843, 0.685], [0.541, 0.131, 0.925], [0.588, 0.346, 0.315], [0.286, 0.155, 0.825], [0.727, 0.013, 0.702], [0.227, 0.487, 0.298], [0.273, 0.513, 0.798], [0.214, 0.845, 0.325], [0.773, 0.987, 0.202], [0.786, 0.345, 0.175], [0.714, 0.655, 0.675], [0.060, 0.860, 0.530], [0.239, 0.167, 0.590], [0.618, 0.047, 0.427], [0.118, 0.453, 0.573], [0.940, 0.360, 0.970], [0.261, 0.833, 0.090], [0.440, 0.140, 0.030], [0.317, 0.828, 0.763], [0.739, 0.333, 0.410], [0.761, 0.667, 0.910], [0.382, 0.547, 0.073], [0.817, 0.672, 0.237], [0.683, 0.328, 0.737], [0.183, 0.172, 0.263], [0.560, 0.640, 0.470], [0.882, 0.953, 0.927]],
  "formation_energy_kj_per_mol_atoms": -105
}



# 2
{
  "formula": "ZnH7C4N3O7",
  "functional": "PBE",
  "state": "optimized geometry",
  "lattice": [[-5.819, 0.149, -3.436], [-3.306, -8.899, 5.213], [-7.036, 0.958, 11.958]],
  "species": ["O", "O", "O", "O", "O", "O", "O", "O", "O", "O", "O", "O", "O", "O", "O", "O", "O", "O", "O", "O", "O", "O", "O", "O", "O", "O", "O", "O", "H", "H", "H", "H", "H", "H", "H", "H", "H", "H", "H", "H", "H", "H", "H", "H", "H", "H", "H", "H", "H", "H", "H", "H", "H", "H", "H", "H", "C", "C", "C", "C", "C", "C", "C", "C", "C", "C", "C", "C", "C", "C", "C", "C", "N", "N", "N", "N", "N", "N", "N", "N", "N", "N", "N", "N", "Zn", "Zn", "Zn", "Zn"],
  "frac_coords": [[0.139, 0.662, 0.814], [0.272, 0.009, 0.076], [0.060, 0.168, 0.837], [0.361, 0.662, 0.314], [0.104, 0.816, 0.979], [0.881, 0.955, 0.251], [0.619, 0.955, 0.751], [0.560, 0.832, 0.663], [0.119, 0.045, 0.749], [0.018, 0.233, 0.392], [0.861, 0.560, 0.165], [0.361, 0.440, 0.335], [0.396, 0.816, 0.479], [0.940, 0.832, 0.163], [0.639, 0.560, 0.665], [0.639, 0.338, 0.686], [0.228, 0.009, 0.576], [0.139, 0.440, 0.835], [0.604, 0.184, 0.521], [0.896, 0.184, 0.021], [0.381, 0.045, 0.249], [0.482, 0.233, 0.892], [0.861, 0.338, 0.186], [0.772, 0.991, 0.424], [0.982, 0.767, 0.608], [0.518, 0.767, 0.108], [0.728, 0.991, 0.924], [0.440, 0.168, 0.337], [0.032, 0.722, 0.687], [0.141, 0.448, 0.707], [0.168, 0.726, 0.993], [0.655, 0.056, 0.398], [0.155, 0.944, 0.102], [0.183, 0.019, 0.640], [0.968, 0.278, 0.313], [0.683, 0.981, 0.860], [0.832, 0.274, 0.007], [0.532, 0.278, 0.813], [0.359, 0.448, 0.207], [0.112, 0.887, 0.898], [0.859, 0.552, 0.293], [0.888, 0.113, 0.102], [0.317, 0.019, 0.140], [0.388, 0.887, 0.398], [0.468, 0.722, 0.187], [0.332, 0.726, 0.493], [0.845, 0.056, 0.898], [0.946, 0.141, 0.432], [0.554, 0.141, 0.932], [0.446, 0.859, 0.068], [0.641, 0.552, 0.793], [0.054, 0.859, 0.568], [0.817, 0.981, 0.360], [0.345, 0.944, 0.602], [0.668, 0.274, 0.507], [0.612, 0.113, 0.602], [0.886, 0.841, 0.247], [0.832, 0.471, 0.131], [0.114, 0.159, 0.753], [0.386, 0.159, 0.253], [0.760, 0.539, 0.013], [0.830, 0.702, 0.350], [0.670, 0.702, 0.850], [0.668, 0.471, 0.631], [0.332, 0.529, 0.369], [0.740, 0.539, 0.513], [0.168, 0.529, 0.869], [0.614, 0.841, 0.747], [0.330, 0.298, 0.150], [0.240, 0.461, 0.987], [0.260, 0.461, 0.487], [0.170, 0.298, 0.650], [0.272, 0.531, 0.042], [0.170, 0.427, 0.643], [0.772, 0.469, 0.458], [0.228, 0.531, 0.542], [0.670, 0.573, 0.857], [0.274, 0.318, 0.050], [0.774, 0.682, 0.450], [0.226, 0.318, 0.550], [0.330, 0.427, 0.143], [0.728, 0.469, 0.958], [0.830, 0.573, 0.357], [0.726, 0.682, 0.950], [0.190, 0.220, 0.952], [0.690, 0.780, 0.548], [0.310, 0.220, 0.452], [0.810, 0.780, 0.048]],
  "formation_energy_kj_per_mol_atoms": -97
}



# 3
{
  "formula": "TcC4NO4",
  "functional": "PBE",
  "state": "optimized geometry",
  "lattice": [[-2.934, -2.577, 3.257], [-7.548, 8.557, -0.030], [-6.883, -6.110, -11.036]],
  "species": ["O", "O", "O", "O", "O", "O", "O", "O", "O", "O", "O", "O", "O", "O", "O", "O", "N", "N", "N", "N", "C", "C", "C", "C", "C", "C", "C", "C", "C", "C", "C", "C", "C", "C", "C", "C", "Tc", "Tc", "Tc", "Tc"],
  "frac_coords": [[0.774, 0.772, 0.268], [0.319, 0.772, 0.376], [0.226, 0.728, 0.768], [0.681, 0.272, 0.124], [0.681, 0.728, 0.876], [0.693, 0.350, 0.325], [0.614, 0.102, 0.263], [0.307, 0.850, 0.175], [0.614, 0.898, 0.737], [0.386, 0.398, 0.763], [0.386, 0.602, 0.237], [0.774, 0.228, 0.732], [0.226, 0.272, 0.232], [0.319, 0.228, 0.624], [0.693, 0.650, 0.675], [0.307, 0.150, 0.825], [0.132, 0.500, 0.500], [0.868, 0.000, 0.000], [0.882, 0.500, 0.000], [0.118, 0.000, 0.500], [0.866, 0.607, 0.622], [0.054, 0.091, 0.440], [0.186, 0.561, 0.009], [0.814, 0.061, 0.491], [0.814, 0.939, 0.509], [0.134, 0.893, 0.122], [0.866, 0.393, 0.378], [0.186, 0.439, 0.991], [0.001, 0.556, 0.564], [0.946, 0.591, 0.060], [0.946, 0.409, 0.940], [0.054, 0.909, 0.560], [0.134, 0.107, 0.878], [0.001, 0.444, 0.436], [0.999, 0.944, 0.064], [0.999, 0.056, 0.936], [0.559, 0.246, 0.233], [0.441, 0.254, 0.733], [0.441, 0.746, 0.267], [0.559, 0.754, 0.767]],
  "formation_energy_kj_per_mol_atoms": 10,
  "polymorph_energy_ev_per_atom": 0.189
}



# 4
{
  "formula": "Na2La4Hf4Si3S9O48",
  "functional": "PBE",
  "state": "optimized geometry",
  "lattice": [[-7.826, 16.776, 0.565], [-3.526, -6.553, -5.482], [-14.385, -7.362, 17.959]],
  "species": ["O", "O", "O", "O", "O", "O", "O", "O", "O", "O", "O", "O", "O", "O", "O", "O", "O", "O", "O", "O", "O", "O", "O", "O", "O", "O", "O", "O", "O", "O", "O", "O", "O", "O", "O", "O", "O", "O", "O", "O", "O", "O", "O", "O", "O", "O", "O", "O", "O", "O", "O", "O", "O", "O", "O", "O", "O", "O", "O", "O", "O", "O", "O", "O", "O", "O", "O", "O", "O", "O", "O", "O", "O", "O", "O", "O", "O", "O", "O", "O", "O", "O", "O", "O", "O", "O", "O", "O", "O", "O", "O", "O", "O", "O", "O", "O", "O", "O", "O", "O", "O", "O", "O", "O", "O", "O", "O", "O", "O", "O", "O", "O", "O", "O", "O", "O", "O", "O", "O", "O", "O", "O", "O", "O", "O", "O", "O", "O", "O", "O", "O", "O", "O", "O", "O", "O", "O", "O", "O", "O", "O", "O", "O", "O", "La", "La", "La", "La", "La", "La", "La", "La", "La", "La", "La", "La", "Hf", "Hf", "Hf", "Hf", "Hf", "Hf", "Hf", "Hf", "Hf", "Hf", "Hf", "Hf", "S", "S", "S", "S", "S", "S", "S", "S", "S", "S", "S", "S", "S", "S", "S", "S", "S", "S", "S", "S", "S", "S", "S", "S", "S", "S", "S", "Na", "Na", "Na", "Na", "Na", "Na", "Si", "Si", "Si", "Si", "Si", "Si", "Si", "Si", "Si"],
  "frac_coords": [[0.999, 0.815, 0.102], [0.021, 0.199, 0.906], [0.682, 0.869, 0.579], [0.408, 0.007, 0.696], [0.655, 0.472, 0.471], [0.396, 0.000, 0.092], [0.831, 0.536, 0.917], [0.746, 0.302, 0.734], [0.272, 0.851, 0.467], [0.273, 0.650, 0.264], [0.667, 0.850, 0.971], [0.674, 0.883, 0.266], [0.165, 0.467, 0.371], [0.706, 0.133, 0.539], [0.587, 0.957, 0.925], [0.776, 0.893, 0.763], [0.815, 0.510, 0.632], [0.406, 0.285, 0.246], [0.748, 0.208, 0.244], [0.245, 0.191, 0.233], [0.678, 0.486, 0.360], [0.811, 0.114, 0.133], [0.107, 0.209, 0.703], [0.773, 0.864, 0.370], [0.409, 0.523, 0.734], [0.974, 0.187, 0.296], [0.357, 0.525, 0.245], [0.105, 0.164, 0.802], [0.522, 0.214, 0.925], [0.588, 0.167, 0.697], [0.928, 0.568, 0.029], [0.841, 0.555, 0.533], [0.572, 0.508, 0.571], [0.907, 0.532, 0.746], [0.166, 0.482, 0.472], [0.003, 0.193, 0.586], [0.566, 0.464, 0.870], [0.089, 0.011, 0.197], [0.582, 0.483, 0.970], [0.396, 0.955, 0.408], [0.256, 0.644, 0.577], [0.779, 0.700, 0.965], [0.396, 0.834, 0.924], [0.339, 0.123, 0.032], [0.928, 0.314, 0.527], [0.619, 0.178, 0.805], [0.243, 0.367, 0.134], [0.247, 0.862, 0.078], [0.491, 0.802, 0.696], [0.897, 0.955, 0.426], [0.779, 0.682, 0.241], [0.933, 0.364, 0.636], [0.326, 0.119, 0.419], [0.077, 0.520, 0.572], [0.324, 0.531, 0.919], [0.401, 0.796, 0.604], [0.762, 0.850, 0.472], [0.756, 0.866, 0.076], [0.083, 0.683, 0.471], [0.764, 0.657, 0.865], [0.858, 0.189, 0.746], [0.175, 0.869, 0.861], [0.236, 0.284, 0.750], [0.316, 0.121, 0.132], [0.244, 0.124, 0.632], [0.261, 0.866, 0.367], [0.747, 0.631, 0.577], [0.166, 0.444, 0.763], [0.474, 0.165, 0.300], [0.161, 0.860, 0.248], [0.602, 0.219, 0.087], [0.205, 0.283, 0.038], [0.430, 0.367, 0.635], [0.598, 0.991, 0.605], [0.977, 0.789, 0.801], [0.071, 0.637, 0.072], [0.404, 0.051, 0.795], [0.499, 0.814, 0.081], [0.471, 0.757, 0.796], [0.741, 0.364, 0.131], [0.023, 0.833, 0.426], [0.601, 0.050, 0.305], [0.440, 0.545, 0.421], [0.349, 0.171, 0.732], [0.076, 0.961, 0.904], [0.666, 0.864, 0.870], [0.574, 0.192, 0.406], [0.744, 0.125, 0.635], [0.425, 0.286, 0.531], [0.900, 0.837, 0.904], [0.855, 0.534, 0.232], [0.565, 0.657, 0.367], [0.181, 0.497, 0.077], [0.993, 0.181, 0.196], [0.500, 0.184, 0.602], [0.431, 0.506, 0.135], [0.119, 0.059, 0.305], [0.825, 0.115, 0.421], [0.066, 0.669, 0.370], [0.000, 0.795, 0.701], [0.916, 0.050, 0.802], [0.901, 0.003, 0.103], [0.097, 0.208, 0.104], [0.939, 0.332, 0.918], [0.893, 0.997, 0.703], [0.312, 0.506, 0.634], [0.724, 0.313, 0.031], [0.660, 0.462, 0.749], [0.905, 0.763, 0.295], [0.910, 0.816, 0.196], [0.073, 0.445, 0.966], [0.156, 0.838, 0.971], [0.430, 0.537, 0.025], [0.354, 0.571, 0.538], [0.576, 0.638, 0.072], [0.194, 0.875, 0.575], [0.238, 0.360, 0.425], [0.913, 0.299, 0.234], [0.414, 0.778, 0.301], [0.741, 0.336, 0.418], [0.271, 0.677, 0.869], [0.895, 0.790, 0.592], [0.056, 0.668, 0.760], [0.739, 0.118, 0.923], [0.388, 0.786, 0.202], [0.693, 0.514, 0.072], [0.554, 0.443, 0.259], [0.575, 0.698, 0.467], [0.262, 0.672, 0.970], [0.086, 0.216, 0.426], [0.945, 0.529, 0.427], [0.277, 0.872, 0.742], [0.523, 0.843, 0.409], [0.065, 0.469, 0.865], [0.926, 0.489, 0.135], [0.559, 0.675, 0.745], [0.105, 0.991, 0.592], [0.223, 0.138, 0.533], [0.242, 0.146, 0.917], [0.063, 0.443, 0.245], [0.443, 0.360, 0.925], [0.605, 0.002, 0.196], [0.853, 0.134, 0.037], [0.495, 0.203, 0.200], [0.162, 0.675, 0.301], [0.344, 0.337, 0.481], [0.673, 0.667, 0.304], [0.825, 0.318, 0.482], [0.000, 0.013, 0.645], [0.007, 0.003, 0.349], [0.846, 0.351, 0.984], [0.661, 0.650, 0.802], [0.505, 0.986, 0.149], [0.172, 0.684, 0.808], [0.324, 0.330, 0.985], [0.509, 0.013, 0.851], [0.338, 0.339, 0.182], [0.659, 0.643, 0.518], [0.167, 0.664, 0.524], [0.006, 0.996, 0.146], [0.665, 0.671, 0.026], [0.004, 0.997, 0.858], [0.160, 0.679, 0.022], [0.512, 0.017, 0.354], [0.836, 0.336, 0.680], [0.506, 0.017, 0.646], [0.337, 0.335, 0.677], [0.831, 0.329, 0.182], [0.986, 0.698, 0.752], [0.824, 0.620, 0.583], [0.028, 0.677, 0.423], [0.183, 0.341, 0.088], [0.485, 0.274, 0.251], [0.666, 0.948, 0.921], [0.164, 0.381, 0.422], [0.325, 0.028, 0.084], [0.988, 0.278, 0.242], [0.690, 0.349, 0.081], [0.313, 0.679, 0.921], [0.360, 0.022, 0.742], [0.359, 0.690, 0.253], [0.485, 0.695, 0.743], [0.191, 0.033, 0.582], [0.527, 0.380, 0.923], [0.816, 0.680, 0.914], [0.153, 0.276, 0.754], [0.861, 0.030, 0.754], [0.814, 0.944, 0.422], [0.527, 0.686, 0.415], [0.332, 0.632, 0.587], [0.832, 0.031, 0.087], [0.314, 0.946, 0.415], [0.026, 0.366, 0.914], [0.862, 0.701, 0.241], [0.684, 0.028, 0.589], [0.326, 0.318, 0.323], [0.993, 0.026, 0.499], [0.494, 0.963, 0.005], [0.806, 0.314, 0.334], [0.823, 0.328, 0.825], [0.316, 0.306, 0.842], [0.485, 0.337, 0.584], [0.657, 0.032, 0.253], [0.654, 0.281, 0.746], [0.984, 0.348, 0.581], [0.664, 0.373, 0.414], [0.154, 0.028, 0.246], [0.482, 0.624, 0.080], [0.165, 0.956, 0.916], [0.981, 0.627, 0.086]],
  "formation_energy_kj_per_mol_atoms": -267
}